[1]
# LiFeF4 (PBE+U, optimized geometry)
data_LiFeF4
_symmetry_space_group_name_H-M 'C 1 2/c 1'
_symmetry_Int_Tables_number 15
_cell_length_a 10.6928
_cell_length_b 5.6727
_cell_length_c 5.3238
_cell_angle_alpha 90.00
_cell_angle_beta 93.28
_cell_angle_gamma 90.00
loop_
_symmetry_equiv_pos_as_xyz
'x,y,z'
'-x,-y,-z'
'-x,y,-z+1/2'
'x,-y,z+1/2'
'x+1/2,y+1/2,z'
'-x+1/2,-y+1/2,-z'
'-x+1/2,y+1/2,-z+1/2'
'x+1/2,-y+1/2,z+1/2'
loop_
_atom_site_label
_atom_site_type_symbol
_atom_site_fract_x
_atom_site_fract_y
_atom_site_fract_z
Li1 Li 0.2500 0.2500 0.0000
Fe1 Fe 0.0000 0.1653 0.7500
F1 F 0.0942 0.1013 0.0857
F2 F 0.1359 0.3668 0.7094
# energy relative to the lowest polymorph listed for this composition = 80 meV/atom
# ΔH_f (0 K) = -2.744 eV/atom

***

[2]
# KVSO9 (PBE+U, optimized geometry)
data_KVSO9
_symmetry_space_group_name_H-M 'P 1 21 1'
_symmetry_Int_Tables_number 4
_cell_length_a 6.1520
_cell_length_b 11.3292
_cell_length_c 6.3019
_cell_angle_alpha 90.00
_cell_angle_beta 106.39
_cell_angle_gamma 90.00
loop_
_symmetry_equiv_pos_as_xyz
'x,y,z'
'-x,y+1/2,-z'
loop_
_atom_site_label
_atom_site_type_symbol
_atom_site_fract_x
_atom_site_fract_y
_atom_site_fract_z
K1 K 0.2154 0.0000 0.2743
V1 V 0.3947 0.3064 0.1433
S1 S 0.0765 0.8230 0.7556
O1 O 0.0279 0.9085 0.5771
O2 O 0.0488 0.6999 0.6909
O3 O 0.0686 0.3505 0.0850
O4 O 0.2344 0.6611 0.2010
O5 O 0.3152 0.8470 0.9144
O6 O 0.3269 0.5015 0.0468
O7 O 0.3518 0.1731 0.0345
O8 O 0.3608 0.5718 0.2241
O9 O 0.4718 0.2944 0.4126
# ΔH_f (0 K) = -1.117 eV/atom

***

[3]
# Ca3Al4CoO10 (PBE+U, optimized geometry)
data_Ca3Al4CoO10
_symmetry_space_group_name_H-M 'P c a 21'
_symmetry_Int_Tables_number 29
_cell_length_a 16.9425
_cell_length_b 5.1779
_cell_length_c 10.7874
_cell_angle_alpha 90.00
_cell_angle_beta 90.00
_cell_angle_gamma 90.00
loop_
_symmetry_equiv_pos_as_xyz
'x,y,z'
'-x,-y,z+1/2'
'-x+1/2,y,z+1/2'
'x+1/2,-y,z'
loop_
_atom_site_label
_atom_site_type_symbol
_atom_site_fract_x
_atom_site_fract_y
_atom_site_fract_z
Ca1 Ca 0.1071 0.2049 0.0000
Ca2 Ca 0.1102 0.2008 0.6475
Ca3 Ca 0.2091 0.2218 0.3383
Al1 Al 0.0299 0.1344 0.3249
Al2 Al 0.0762 0.6324 0.1786
Al3 Al 0.1640 0.7557 0.8283
Al4 Al 0.2482 0.6945 0.0802
Co1 Co 0.0789 0.6404 0.4769
O1 O 0.0073 0.5148 0.0723
O2 O 0.0560 0.4652 0.3178
O3 O 0.0719 0.9262 0.8265
O4 O 0.0732 0.9737 0.1931
O5 O 0.0838 0.0115 0.4534
O6 O 0.1662 0.4191 0.8277
O7 O 0.1703 0.5005 0.1409
O8 O 0.1810 0.4784 0.5194
O9 O 0.2109 0.9004 0.9603
O10 O 0.2137 0.8997 0.6989
# energy relative to the lowest polymorph listed for this composition = 0 meV/atom
# ΔH_f (0 K) = -3.201 eV/atom

***

[4]
# Li2CoSnP2O8 (PBE+U, optimized geometry)
data_Li2CoSnP2O8
_symmetry_space_group_name_H-M 'P 1'
_symmetry_Int_Tables_number 1
_cell_length_a 4.8414
_cell_length_b 6.3023
_cell_length_c 11.2445
_cell_angle_alpha 89.96
_cell_angle_beta 89.30
_cell_angle_gamma 88.81
loop_
_symmetry_equiv_pos_as_xyz
'x,y,z'
loop_
_atom_site_label
_atom_site_type_symbol
_atom_site_fract_x
_atom_site_fract_y
_atom_site_fract_z
Li1 Li 0.0000 0.0000 0.0000
Li2 Li 0.0004 0.4997 0.9999
Li3 Li 0.5025 0.0005 0.5002
Li4 Li 0.5069 0.4974 0.5025
Co1 Co 0.4357 0.7473 0.2069
Co2 Co 0.5641 0.2527 0.7930
Sn1 Sn 0.0175 0.7550 0.7242
Sn2 Sn 0.9843 0.2455 0.2756
P1 P 0.1523 0.2502 0.6206
P2 P 0.4207 0.2493 0.0746
P3 P 0.5803 0.7504 0.9248
P4 P 0.8489 0.7509 0.3785
O1 O 0.1633 0.7573 0.3593
O2 O 0.2462 0.2628 0.4885
O3 O 0.2619 0.7539 0.9159
O4 O 0.2838 0.4466 0.1415
O5 O 0.2868 0.4424 0.6871
O6 O 0.2901 0.0478 0.1351
O7 O 0.3080 0.2580 0.9459
O8 O 0.3088 0.0513 0.6744
O9 O 0.6914 0.9500 0.3256
O10 O 0.6924 0.7420 0.0536
O11 O 0.7108 0.9520 0.8643
O12 O 0.7147 0.5585 0.3122
O13 O 0.7176 0.5531 0.8581
O14 O 0.7391 0.2458 0.0833
O15 O 0.7578 0.7377 0.5111
O16 O 0.8372 0.2450 0.6388
# energy relative to the lowest polymorph listed for this composition = 6 meV/atom
# ΔH_f (0 K) = -2.359 eV/atom